# 1
DFT (GGA-PBE) results for NdSiO4 after structural relaxation.

Cell lengths 6.0463, 6.0463, 6.0463 Å; angles 106.49, 106.49, 115.61 degrees
Positions (direct):
Nd 0.3750 0.6250 0.7500
Nd 0.6250 0.3750 0.2500
Si 0.1250 0.8750 0.2500
Si 0.8750 0.1250 0.7500
O 0.1381 0.7124 0.4257
O 0.2132 0.2876 0.9257
O 0.2876 0.2132 0.4257
O 0.2876 0.8619 0.0743
O 0.7124 0.1381 0.9257
O 0.7124 0.7868 0.5743
O 0.7868 0.7124 0.0743
O 0.8619 0.2876 0.5743

The theoretical density is 4.65 g cm⁻³. The calculation puts the energy of formation at -3.2128 eV per atom. As for the space group: I4_1/amd (141).

# 2
DFT (GGA-PBE) results for Nd2SiO5 after structural relaxation.

Cell lengths 9.3308, 7.3911, 6.9201 Å; angles 90.00, 108.40, 90.00 degrees
Positions (direct):
Nd 0.0215 0.1245 0.2338
Nd 0.0215 0.3755 0.7338
Nd 0.3893 0.1540 0.0921
Nd 0.3893 0.3460 0.5921
Nd 0.6107 0.6540 0.4079
Nd 0.6107 0.8460 0.9079
Nd 0.9785 0.6245 0.2662
Nd 0.9785 0.8755 0.7662
Si 0.2987 0.5813 0.0435
Si 0.2987 0.9187 0.5435
Si 0.7013 0.0813 0.4565
Si 0.7013 0.4187 0.9565
O 0.1157 0.1231 0.9523
O 0.1157 0.3769 0.4523
O 0.1182 0.6348 0.9933
O 0.1182 0.8652 0.4933
O 0.2940 0.0716 0.3646
O 0.2940 0.4284 0.8646
O 0.3667 0.0395 0.7529
O 0.3667 0.4605 0.2529
O 0.4090 0.7470 0.5574
O 0.4090 0.7530 0.0574
O 0.5910 0.2470 0.9426
O 0.5910 0.2530 0.4426
O 0.6333 0.5395 0.7471
O 0.6333 0.9605 0.2471
O 0.7060 0.5716 0.1354
O 0.7060 0.9284 0.6354
O 0.8818 0.1348 0.5067
O 0.8818 0.3652 0.0067
O 0.8843 0.6231 0.5477
O 0.8843 0.8769 0.0477

The theoretical density is 5.82 g cm⁻³. The calculation puts the energy of formation at -3.7105 eV per atom. As for the space group: P2_1/c (14).

# 3
DFT (GGA-PBE) results for SrNd4Si3O13 after structural relaxation.

Cell lengths 9.6785, 9.6785, 7.1620 Å; angles 90.00, 90.00, 120.00 degrees
Positions (direct):
Sr 0.3333 0.6667 0.0000
Sr 0.6667 0.3333 0.5000
Nd 0.0091 0.2423 0.7513
Nd 0.2333 0.9909 0.7513
Nd 0.2423 0.2333 0.2513
Nd 0.3333 0.6667 0.5000
Nd 0.6667 0.3333 0.0000
Nd 0.7577 0.7667 0.7513
Nd 0.7667 0.0091 0.2513
Nd 0.9909 0.7577 0.2513
Si 0.0287 0.3980 0.2500
Si 0.3692 0.9713 0.2500
Si 0.3980 0.3692 0.7500
Si 0.6020 0.6308 0.2500
Si 0.6308 0.0287 0.7500
Si 0.9713 0.6020 0.7500
O 0.0000 0.0000 0.2535
O 0.0000 0.0000 0.7535
O 0.0903 0.3413 0.4352
O 0.0912 0.3377 0.0697
O 0.1212 0.5941 0.2600
O 0.1657 0.6851 0.7412
O 0.2465 0.9088 0.0697
O 0.2510 0.9097 0.4352
O 0.3149 0.4806 0.7412
O 0.3377 0.2465 0.5697
O 0.3413 0.2510 0.9352
O 0.4059 0.5270 0.2600
O 0.4730 0.8788 0.2600
O 0.4806 0.1657 0.2412
O 0.5194 0.8343 0.7412
O 0.5270 0.1212 0.7600
O 0.5941 0.4730 0.7600
O 0.6587 0.7490 0.4352
O 0.6623 0.7535 0.0697
O 0.6851 0.5194 0.2412
O 0.7490 0.0903 0.9352
O 0.7535 0.0912 0.5697
O 0.8343 0.3149 0.2412
O 0.8788 0.4059 0.7600
O 0.9088 0.6623 0.5697
O 0.9097 0.6587 0.9352

The theoretical density is 5.47 g cm⁻³. The calculation puts the energy of formation at -3.6707 eV per atom. As for the space group: P6_3 (173).

# 4
DFT (GGA-PBE) results for NdSmTi4O12 after structural relaxation.

Cell lengths 7.7257, 5.4646, 5.4646 Å; angles 89.58, 90.00, 90.00 degrees
Positions (direct):
Nd 0.0000 0.0000 0.0000
Sm 0.5000 0.4557 0.4557
Ti 0.2508 0.4869 0.9679
Ti 0.2508 0.9679 0.4869
Ti 0.7492 0.4869 0.9679
Ti 0.7492 0.9679 0.4869
O 0.0000 0.4284 0.9907
O 0.0000 0.9907 0.4284
O 0.2067 0.7714 0.7714
O 0.2628 0.2580 0.6942
O 0.2628 0.6942 0.2580
O 0.2805 0.2119 0.2119
O 0.5000 0.5080 0.9253
O 0.5000 0.9253 0.5080
O 0.7195 0.2119 0.2119
O 0.7372 0.2580 0.6942
O 0.7372 0.6942 0.2580
O 0.7933 0.7714 0.7714

The theoretical density is 4.88 g cm⁻³. The calculation puts the energy of formation at -3.3086 eV per atom. As for the space group: Amm2 (38).

# 5
DFT (GGA-PBE) results for SrNd2O4 after structural relaxation.

Cell lengths 7.2039, 7.2039, 7.2039 Å; angles 60.00, 60.00, 60.00 degrees
Positions (direct):
Sr 0.1250 0.1250 0.1250
Sr 0.8750 0.8750 0.8750
Nd 0.0000 0.5000 0.5000
Nd 0.5000 0.0000 0.5000
Nd 0.5000 0.5000 0.0000
Nd 0.5000 0.5000 0.5000
O 0.2646 0.2646 0.2646
O 0.2646 0.2646 0.7061
O 0.2646 0.7061 0.2646
O 0.2939 0.7354 0.7354
O 0.7061 0.2646 0.2646
O 0.7354 0.2939 0.7354
O 0.7354 0.7354 0.2939
O 0.7354 0.7354 0.7354

The theoretical density is 5.53 g cm⁻³. The calculation puts the energy of formation at -3.5478 eV per atom. Its distance to the lowest polymorph of the same formula is 0 meV/atom. As for the space group: Fd-3m (227).

# 6
DFT (GGA-PBE) results for SrNd2O4 after structural relaxation.

Cell lengths 10.4228, 3.5694, 12.4123 Å; angles 90.00, 90.00, 90.00 degrees
Positions (direct):
Sr 0.2474 0.2500 0.1489
Sr 0.2526 0.7500 0.6489
Sr 0.7474 0.2500 0.3511
Sr 0.7526 0.7500 0.8511
Nd 0.0762 0.2500 0.8871
Nd 0.0810 0.2500 0.3876
Nd 0.4190 0.7500 0.8876
Nd 0.4238 0.7500 0.3871
Nd 0.5762 0.2500 0.6129
Nd 0.5810 0.2500 0.1124
Nd 0.9190 0.7500 0.6124
Nd 0.9238 0.7500 0.1129
O 0.0110 0.7500 0.7846
O 0.0748 0.2500 0.5797
O 0.1307 0.7500 0.0206
O 0.2129 0.7500 0.3156
O 0.2871 0.2500 0.8156
O 0.3693 0.2500 0.5206
O 0.4252 0.7500 0.0797
O 0.4890 0.2500 0.2846
O 0.5110 0.7500 0.7154
O 0.5748 0.2500 0.9203
O 0.6307 0.7500 0.4794
O 0.7129 0.7500 0.1844
O 0.7871 0.2500 0.6844
O 0.8693 0.2500 0.9794
O 0.9252 0.7500 0.4203
O 0.9890 0.2500 0.2154

The theoretical density is 6.33 g cm⁻³. The calculation puts the energy of formation at -3.5406 eV per atom. Its distance to the lowest polymorph of the same formula is 7 meV/atom. As for the space group: Pnma (62).

# 7
DFT (GGA-PBE) results for SrNdO3 after structural relaxation.

Cell lengths 4.4965, 4.4965, 4.4965 Å; angles 90.00, 90.00, 90.00 degrees
Positions (direct):
Sr 0.0000 0.0000 0.0000
Nd 0.5000 0.5000 0.5000
O 0.0000 0.5000 0.5000
O 0.5000 0.0000 0.5000
O 0.5000 0.5000 0.0000

The theoretical density is 5.11 g cm⁻³. The calculation puts the energy of formation at -2.8098 eV per atom. As for the space group: Pm-3m (221).

# 8
DFT (GGA-PBE) results for Sr2NdTaO6 after structural relaxation.

Cell lengths 5.8970, 6.0772, 10.2825 Å; angles 90.00, 124.83, 90.00 degrees
Positions (direct):
Sr 0.2415 0.0456 0.2533
Sr 0.2415 0.4544 0.7533
Sr 0.7585 0.5456 0.2467
Sr 0.7585 0.9544 0.7467
Nd 0.5000 0.0000 0.0000
Nd 0.5000 0.5000 0.5000
Ta 0.0000 0.0000 0.5000
Ta 0.0000 0.5000 0.0000
O 0.1269 0.2273 0.9439
O 0.1269 0.2727 0.4439
O 0.2317 0.6858 0.9557
O 0.2317 0.8142 0.4557
O 0.3226 0.0374 0.7287
O 0.3226 0.4626 0.2287
O 0.6774 0.5374 0.7713
O 0.6774 0.9626 0.2713
O 0.7683 0.1858 0.5443
O 0.7683 0.3142 0.0443
O 0.8731 0.7273 0.5561
O 0.8731 0.7727 0.0561

The theoretical density is 6.55 g cm⁻³. The calculation puts the energy of formation at -3.5157 eV per atom. As for the space group: P2_1/c (14).

# 9
DFT (GGA-PBE) results for SrNdTi4O12 after structural relaxation.

Cell lengths 7.7787, 5.5061, 5.5061 Å; angles 89.83, 90.00, 90.00 degrees
Positions (direct):
Sr 0.0000 0.0000 0.0000
Nd 0.5000 0.5300 0.5300
Ti 0.2488 0.0198 0.5097
Ti 0.2488 0.5097 0.0198
Ti 0.7512 0.0198 0.5097
Ti 0.7512 0.5097 0.0198
O 0.0000 0.0290 0.4926
O 0.0000 0.4926 0.0290
O 0.2416 0.7475 0.7475
O 0.2550 0.2495 0.7760
O 0.2550 0.7760 0.2495
O 0.2846 0.2881 0.2881
O 0.5000 0.5283 0.9787
O 0.5000 0.9787 0.5283
O 0.7154 0.2881 0.2881
O 0.7450 0.2495 0.7760
O 0.7450 0.7760 0.2495
O 0.7584 0.7475 0.7475

The theoretical density is 4.33 g cm⁻³. The calculation puts the energy of formation at -3.1554 eV per atom. As for the space group: Amm2 (38).

# 10
DFT (GGA-PBE) results for Sr2NdUO6 after structural relaxation.

Cell lengths 6.2822, 6.2822, 6.2822 Å; angles 60.00, 60.00, 60.00 degrees
Positions (direct):
Sr 0.2500 0.2500 0.2500
Sr 0.7500 0.7500 0.7500
Nd 0.0000 0.0000 0.0000
U 0.5000 0.5000 0.5000
O 0.2595 0.2595 0.7405
O 0.2595 0.7405 0.2595
O 0.2595 0.7405 0.7405
O 0.7405 0.2595 0.2595
O 0.7405 0.2595 0.7405
O 0.7405 0.7405 0.2595

The theoretical density is 6.19 g cm⁻³. The calculation puts the energy of formation at -3.4557 eV per atom. As for the space group: Fm-3m (225).

# 11
DFT (GGA-PBE) results for NdTaO4 after structural relaxation.

Cell lengths 5.2817, 5.6642, 5.4720 Å; angles 90.00, 96.82, 90.00 degrees
Positions (direct):
Nd 0.0000 0.2349 0.2500
Nd 0.0000 0.7651 0.7500
Ta 0.5000 0.3137 0.7500
Ta 0.5000 0.6863 0.2500
O 0.2555 0.0948 0.6109
O 0.2555 0.9052 0.1109
O 0.2751 0.4373 0.9927
O 0.2751 0.5627 0.4927
O 0.7249 0.4373 0.5073
O 0.7249 0.5627 0.0073
O 0.7445 0.0948 0.8891
O 0.7445 0.9052 0.3891

The theoretical density is 7.95 g cm⁻³. The calculation puts the energy of formation at -3.6781 eV per atom. As for the space group: P2/c (13).

# 12
DFT (GGA-PBE) results for Nd2Ta2O9 after structural relaxation.

Cell lengths 6.7210, 3.8961, 15.5871 Å; angles 90.00, 112.36, 90.00 degrees
Positions (direct):
Nd 0.1855 0.0041 0.1950
Nd 0.1855 0.4959 0.6950
Nd 0.8145 0.5041 0.3050
Nd 0.8145 0.9959 0.8050
Ta 0.1937 0.0033 0.4609
Ta 0.1937 0.4967 0.9609
Ta 0.8063 0.5033 0.0391
Ta 0.8063 0.9967 0.5391
O 0.0798 0.0031 0.3238
O 0.0798 0.4969 0.8238
O 0.1575 0.5021 0.4517
O 0.1575 0.9979 0.9517
O 0.1587 0.5011 0.0811
O 0.1587 0.9989 0.5811
O 0.4394 0.5082 0.2810
O 0.4394 0.9918 0.7810
O 0.5000 0.0000 0.5000
O 0.5000 0.5000 0.0000
O 0.5606 0.0082 0.2190
O 0.5606 0.4918 0.7190
O 0.8413 0.0011 0.4189
O 0.8413 0.4989 0.9189
O 0.8425 0.0021 0.0483
O 0.8425 0.4979 0.5483
O 0.9202 0.5031 0.1762
O 0.9202 0.9969 0.6762

The theoretical density is 6.99 g cm⁻³. The calculation puts the energy of formation at -3.2593 eV per atom. As for the space group: P2_1/c (14).

| no. | V (Å³ per atom) |
| --- | --- |
| 1 | 14.1 |
| 2 | 14.2 |
| 3 | 13.8 |
| 4 | 12.8 |
| 5 | 18.9 |
| 6 | 16.5 |
| 7 | 18.2 |
| 8 | 15.1 |
| 9 | 13.1 |
| 10 | 17.5 |
| 11 | 13.5 |
| 12 | 14.5 |